(1)
5
Lattice="-2.364 -4.095 0.000 -2.364 4.095 0.000 0.000 0.000 -7.651" Properties=species:S:1:pos:R:3 comment="CaCd2Sb2, relaxed, DFT PBE-GGA" total_energy_ev_per_atom=-2.878 pbc="T T T"
Sb -2.364 1.365 -5.848
Sb -2.364 -1.365 -1.803
Cd -2.364 -1.365 -4.825
Ca 0.000 0.000 0.000
Cd -2.364 1.365 -2.826

(2)
26
Lattice="0.890 -0.312 -7.776 -0.558 6.836 -3.784 9.981 2.416 -0.706" Properties=species:S:1:pos:R:3 comment="U8MnS17, relaxed, DFT PBE-GGA" total_energy_ev_per_atom=-7.876 pbc="T T T"
S 0.995 2.026 -8.588
U 7.521 2.721 -6.616
S 9.319 6.914 -3.677
S 10.209 2.521 -6.131
U 3.541 2.527 -7.711
U 10.044 6.828 -8.582
Mn 0.000 0.000 0.000
S 2.590 6.694 -11.045
U 6.773 6.414 -4.554
S 5.044 2.173 -5.415
S 4.990 1.208 -0.353
U 5.494 2.641 -2.735
U 4.819 6.300 -9.530
S 2.864 2.059 -2.648
S 1.856 3.532 -5.649
U 0.269 2.112 -3.684
S 7.450 6.881 -9.618
U 2.793 6.219 -5.649
S 2.673 5.148 -8.247
S 5.830 3.998 -8.397
S 4.483 4.942 -3.868
S 5.269 6.767 -6.851
S 0.105 6.420 -6.134
S 8.457 5.409 -6.616
S 7.640 3.793 -4.019
S 7.724 2.247 -1.221

(3)
10
Lattice="0.000 4.430 4.430 4.430 0.000 4.430 4.430 4.430 0.000" Properties=species:S:1:pos:R:3 comment="Rb2NaInF6, relaxed, DFT PBE-GGA" total_energy_ev_per_atom=-4.480 magmom_total_mub_per_cell=0.000 pbc="T T T"
In 0.000 0.000 0.000
F 4.430 4.430 2.111
F 2.111 4.430 4.430
F 6.749 4.430 4.430
Rb 6.645 6.645 6.645
F 4.430 4.430 6.749
Na 4.430 4.430 4.430
F 4.430 6.749 4.430
Rb 2.215 2.215 2.215
F 4.430 2.111 4.430